w.
CsMg14Al after structural relaxation. Source: Materials Project, functional GGA-PBE.

abc: 6.5585 6.7301 10.6125
angles: 90.00 90.00 120.87
Closest atoms and distances in Å follow each position.
Fractional coordinates of all 16 atoms:
Cs: 0.1622 0.8311 0.1250  10 Mg 3.28-3.47, 2 Al 3.37
Mg: 0.1658 0.3329 0.6250  12 Mg 3.11-3.37
Mg: 0.1715 0.8357 0.6250  12 Mg 3.15-3.37
Mg: 0.6562 0.3367 0.1250  1 Al 3.01, 5 Mg 3.24-3.33, 2 Cs 3.28
Mg: 0.6697 0.3292 0.6250  12 Mg 3.10-3.44
Mg: 0.6562 0.8194 0.1250  1 Al 3.01, 5 Mg 3.24-3.33, 2 Cs 3.28
Mg: 0.6697 0.8405 0.6250  12 Mg 3.10-3.44
Mg: 0.3343 0.1816 0.3888  9 Mg 3.11-3.41, 1 Al 3.30, 1 Cs 3.46
Mg: 0.3343 0.1816 0.8612  9 Mg 3.11-3.41, 1 Al 3.30, 1 Cs 3.46
Mg: 0.3343 0.6527 0.3888  9 Mg 3.11-3.41, 1 Al 3.30, 1 Cs 3.46
Mg: 0.3343 0.6527 0.8612  9 Mg 3.11-3.41, 1 Al 3.30, 1 Cs 3.46
Mg: 0.8358 0.1679 0.3640  11 Mg 3.23-3.38, 1 Al 3.28
Mg: 0.8358 0.1679 0.8860  11 Mg 3.23-3.38, 1 Al 3.28
Mg: 0.8173 0.6586 0.3955  11 Mg 3.10-3.42, 1 Cs 3.47
Mg: 0.8173 0.6586 0.8545  11 Mg 3.10-3.42, 1 Cs 3.47
Al: 0.2056 0.3528 0.1250  8 Mg 3.01-3.30

Results
SG ... Amm2 (38)
Total magnetic moment ... 0.00 μB per cell

---

x.
CsMg14Al after structural relaxation. Source: Materials Project, functional GGA-PBE.

abc: 6.5057 6.5057 10.8144
angles: 90.00 90.00 120.00
Closest atoms and distances in Å follow each position.
Fractional coordinates of all 16 atoms:
Cs: 0.1667 0.3333 0.6250  12 Mg 3.25-3.49
Mg: 0.1610 0.8305 0.1250  10 Mg 3.11-3.32, 2 Al 3.25
Mg: 0.1721 0.8361 0.6250  10 Mg 3.20-3.46, 2 Cs 3.25
Mg: 0.6695 0.3390 0.1250  10 Mg 3.11-3.32, 2 Al 3.25
Mg: 0.6639 0.3279 0.6250  10 Mg 3.20-3.46, 2 Cs 3.25
Mg: 0.6695 0.8305 0.1250  10 Mg 3.11-3.32, 2 Al 3.25
Mg: 0.6639 0.8361 0.6250  10 Mg 3.20-3.46, 2 Cs 3.25
Mg: 0.3366 0.1634 0.3548  10 Mg 3.11-3.46, 1 Al 3.14
Mg: 0.3366 0.1634 0.8952  10 Mg 3.11-3.46, 1 Al 3.14
Mg: 0.3366 0.6732 0.3548  10 Mg 3.11-3.46, 1 Al 3.14
Mg: 0.3366 0.6732 0.8952  10 Mg 3.11-3.46, 1 Al 3.14
Mg: 0.8268 0.1634 0.3548  10 Mg 3.11-3.46, 1 Al 3.14
Mg: 0.8268 0.1634 0.8952  10 Mg 3.11-3.46, 1 Al 3.14
Mg: 0.8333 0.6667 0.3801  12 Mg 3.26-3.32
Mg: 0.8333 0.6667 0.8699  12 Mg 3.26-3.32
Al: 0.1667 0.3333 0.1250  12 Mg 3.14-3.25

Results
SG ... P-6m2 (187)
Total magnetic moment ... 0.00 μB per cell

---

Of all the structures shown, which is most stable? w, and x is the least stable.